Material: Li9Mn2Co5O16
Method: DFT, PBE with a Hubbard U
State: relaxed

Output
E above lowest polymorph (eV per formula unit): 0.222

Lattice parameters (Å, degrees): 5.0793 11.5606 5.1450 90.00 110.56 90.00
Sites, in units of the cell vectors:
Li (0.0000, 0.0000, 0.0000)
Li (0.0000, 0.1164, 0.5000)
Li (0.0000, 0.3776, 0.5000)
Li (0.0000, 0.6290, 0.5000)
Li (0.0000, 0.8787, 0.5000)
Li (0.5000, 0.0021, 0.5000)
Li (0.5000, 0.2481, 0.5000)
Li (0.5000, 0.5019, 0.5000)
Li (0.5000, 0.7522, 0.5000)
Mn (0.0000, 0.2442, 0.0000)
Mn (0.5000, 0.8785, 0.0000)
Co (0.0000, 0.5016, 0.0000)
Co (0.0000, 0.7538, 0.0000)
Co (0.5000, 0.1231, 0.0000)
Co (0.5000, 0.3763, 0.0000)
Co (0.5000, 0.6300, 0.0000)
O (0.2328, 0.6278, 0.2236)
O (0.2356, 0.3718, 0.2288)
O (0.2484, 0.2465, 0.7822)
O (0.2496, 0.8680, 0.2140)
O (0.2534, 0.1332, 0.2215)
O (0.2625, 0.4995, 0.7660)
O (0.2733, 0.7546, 0.7626)
O (0.2816, 0.9996, 0.7695)
O (0.7184, 0.9996, 0.2305)
O (0.7267, 0.7546, 0.2374)
O (0.7375, 0.4995, 0.2340)
O (0.7466, 0.1332, 0.7785)
O (0.7504, 0.8680, 0.7860)
O (0.7516, 0.2465, 0.2178)
O (0.7644, 0.3718, 0.7712)
O (0.7672, 0.6278, 0.7764)

=====

Material: Li2MnV4FeO12
Method: DFT, PBE with a Hubbard U
State: relaxed

Lattice parameters (Å, degrees): 6.9929 6.9929 5.8280 105.47 105.47 83.17
Sites, in units of the cell vectors:
Li (0.0000, 0.0000, 0.0000)
Li (0.5112, 0.4888, 0.5000)
Mn (0.6686, 0.3314, 0.0000)
V (0.1470, 0.4487, 0.0224)
V (0.3620, 0.0530, 0.4811)
V (0.5513, 0.8530, 0.9776)
V (0.9470, 0.6380, 0.5189)
Fe (0.8417, 0.1583, 0.5000)
O (0.1152, 0.1345, 0.4082)
O (0.1182, 0.5991, 0.8153)
O (0.1219, 0.5942, 0.3107)
O (0.3836, 0.3413, 0.0751)
O (0.4009, 0.8818, 0.1847)
O (0.4058, 0.8781, 0.6893)
O (0.5566, 0.2247, 0.5984)
O (0.6587, 0.6164, 0.9249)
O (0.7326, 0.0305, 0.0925)
O (0.7753, 0.4434, 0.4016)
O (0.8655, 0.8848, 0.5918)
O (0.9695, 0.2674, 0.9075)

=====

Material: LiV2F9
Method: DFT, PBE with a Hubbard U
State: relaxed

Output
E above lowest polymorph (eV per formula unit): 0.014

Lattice parameters (Å, degrees): 5.0342 8.4890 8.9191 111.77 93.06 100.24
Sites, in units of the cell vectors:
Li (0.0410, 0.3885, 0.1350)
Li (0.9590, 0.6115, 0.8650)
V (0.3144, 0.2560, 0.7556)
V (0.4071, 0.7871, 0.6651)
V (0.5929, 0.2129, 0.3349)
V (0.6856, 0.7440, 0.2444)
F (0.0012, 0.1145, 0.6501)
F (0.1002, 0.6724, 0.5366)
F (0.2097, 0.4598, 0.7759)
F (0.2142, 0.2700, 0.9560)
F (0.2436, 0.8031, 0.8493)
F (0.3312, 0.6352, 0.1635)
F (0.3363, 0.3100, 0.2835)
F (0.4261, 0.2220, 0.5303)
F (0.4496, 0.0268, 0.7263)
F (0.5504, 0.9732, 0.2737)
F (0.5739, 0.7780, 0.4697)
F (0.6637, 0.6900, 0.7165)
F (0.6688, 0.3648, 0.8365)
F (0.7564, 0.1969, 0.1507)
F (0.7858, 0.7300, 0.0440)
F (0.7903, 0.5402, 0.2241)
F (0.8998, 0.3276, 0.4634)
F (0.9988, 0.8855, 0.3499)

=====

Number 1: MP2020-corrected energy -6.551 eV/atom. Number 2: MP2020-corrected energy -8.147 eV/atom. Number 3: MP2020-corrected energy -6.125 eV/atom.